1.
{
  "formula": "Sr2As2O7",
  "functional": "PBE-GGA",
  "state": "relaxed",
  "lattice_angstrom": [[7.2438, 0.0000, 0.0000], [0.0000, 7.2438, 0.0000], [0.0000, 0.0000, 26.1212]],
  "species": ["O", "O", "O", "As", "O", "Sr", "O", "O", "O", "As", "O", "O", "O", "As", "Sr", "O", "As", "Sr", "O", "O", "Sr", "O", "As", "Sr", "As", "O", "O", "O", "Sr", "O", "O", "O", "As", "O", "O", "O", "O", "O", "O", "O", "O", "Sr", "Sr", "Sr", "O", "O", "O", "Sr", "As", "O", "As", "Sr", "O", "O", "O", "O", "O", "As", "O", "Sr", "As", "O", "Sr", "O", "O", "O", "Sr", "O", "O", "O", "O", "As", "As", "O", "O", "O", "O", "O", "O", "O", "As", "As", "As", "Sr", "O", "Sr", "O", "O"],
  "fractional_positions": [[0.8286, 0.9564, 0.1688], [0.5544, 0.9859, 0.7909], [0.4241, 0.8683, 0.1990], [0.3946, 0.3119, 0.9886], [0.0789, 0.7155, 0.6143], [0.1238, 0.7570, 0.5123], [0.8329, 0.8851, 0.0186], [0.8241, 0.1978, 0.4677], [0.2350, 0.2009, 0.0255], [0.6460, 0.2653, 0.6441], [0.5017, 0.5007, 0.2631], [0.1671, 0.1149, 0.5186], [0.4439, 0.8461, 0.4686], [0.3540, 0.7347, 0.1441], [0.1539, 0.4737, 0.2715], [0.6713, 0.4471, 0.8653], [0.2502, 0.8554, 0.6372], [0.2726, 0.2329, 0.1246], [0.1759, 0.8022, 0.9677], [0.7251, 0.6070, 0.4313], [0.7671, 0.2726, 0.3746], [0.8851, 0.1671, 0.7686], [0.2653, 0.3540, 0.3941], [0.5263, 0.1539, 0.5215], [0.8554, 0.7498, 0.3872], [0.8461, 0.5561, 0.2186], [0.2009, 0.7650, 0.7755], [0.2749, 0.3930, 0.9313], [0.1037, 0.3466, 0.6268], [0.7825, 0.4437, 0.6643], [0.8022, 0.8241, 0.7177], [0.5529, 0.6713, 0.1153], [0.9824, 0.7222, 0.9963], [0.7731, 0.1204, 0.6062], [0.1539, 0.4439, 0.7186], [0.5563, 0.7825, 0.9143], [0.4471, 0.3287, 0.6153], [0.3287, 0.5529, 0.3653], [0.2845, 0.0789, 0.8643], [0.4983, 0.4993, 0.7631], [0.4080, 0.8870, 0.5896], [0.7274, 0.7671, 0.6246], [0.2430, 0.1238, 0.7623], [0.6534, 0.1037, 0.8768], [0.1130, 0.4080, 0.8396], [0.8796, 0.7731, 0.8562], [0.5007, 0.4983, 0.0131], [0.8963, 0.6534, 0.1268], [0.1446, 0.2502, 0.8872], [0.9859, 0.4456, 0.5409], [0.6054, 0.6881, 0.4886], [0.8461, 0.5263, 0.7715], [0.3930, 0.7251, 0.6813], [0.1317, 0.4241, 0.4490], [0.1714, 0.0436, 0.6688], [0.0436, 0.8286, 0.4188], [0.2269, 0.8796, 0.1062], [0.7498, 0.1446, 0.1372], [0.5920, 0.1130, 0.0896], [0.7570, 0.8762, 0.2623], [0.2778, 0.9824, 0.2463], [0.8683, 0.5759, 0.9490], [0.2329, 0.7274, 0.8746], [0.4456, 0.0141, 0.2909], [0.7155, 0.9211, 0.3643], [0.9564, 0.1714, 0.9188], [0.8762, 0.2430, 0.0123], [0.1149, 0.8329, 0.2686], [0.1204, 0.2269, 0.3562], [0.1978, 0.1759, 0.2177], [0.2175, 0.5563, 0.1643], [0.0176, 0.2778, 0.4963], [0.3119, 0.6054, 0.7386], [0.5759, 0.1317, 0.6990], [0.9211, 0.2845, 0.1143], [0.0141, 0.5544, 0.0409], [0.6070, 0.2749, 0.1813], [0.8870, 0.5920, 0.3396], [0.4437, 0.2175, 0.4143], [0.5561, 0.1539, 0.9686], [0.6881, 0.3946, 0.2386], [0.7347, 0.6460, 0.8941], [0.7222, 0.0176, 0.7463], [0.4737, 0.8461, 0.0215], [0.4993, 0.5017, 0.5131], [0.3466, 0.8963, 0.3768], [0.7650, 0.7991, 0.5255], [0.7991, 0.2350, 0.2755]],
  "formation_energy_ev_per_fu": -27.7,
  "magnetic_moment_mub_per_cell": 0.00,
  "crystal_system": "tetragonal",
  "spacegroup": "No. 76"
}

2.
{
  "formula": "Pr3InFeS7",
  "functional": "PBE-GGA",
  "state": "relaxed",
  "lattice_angstrom": [[5.0345, -8.7200, 0.0000], [5.0345, 8.7200, 0.0000], [0.0000, 0.0000, 6.4230]],
  "species": ["S", "In", "S", "S", "S", "Pr", "S", "Pr", "S", "S", "Pr", "Pr", "S", "S", "Fe", "In", "S", "Fe", "S", "Pr", "S", "S", "S", "Pr"],
  "fractional_positions": [[0.4341, 0.9194, 0.5587], [0.3333, 0.6667, 0.3903], [0.3333, 0.6667, 0.0118], [0.6667, 0.3333, 0.5118], [0.7759, 0.9042, 0.2192], [0.7799, 0.6255, 0.3189], [0.9042, 0.1283, 0.7192], [0.6255, 0.8457, 0.8189], [0.5659, 0.0806, 0.0587], [0.9194, 0.4854, 0.0587], [0.1543, 0.7799, 0.8189], [0.8457, 0.2201, 0.3189], [0.5146, 0.4341, 0.0587], [0.2241, 0.0958, 0.7192], [0.0000, 0.0000, 0.4773], [0.6667, 0.3333, 0.8903], [0.1283, 0.2241, 0.2192], [0.0000, 0.0000, 0.9773], [0.8717, 0.7759, 0.7192], [0.2201, 0.3745, 0.8189], [0.0958, 0.8717, 0.2192], [0.0806, 0.5146, 0.5587], [0.4854, 0.5659, 0.5587], [0.3745, 0.1543, 0.3189]],
  "formation_energy_ev_per_fu": -20.5,
  "magnetic_moment_mub_per_cell": 8.00,
  "crystal_system": "hexagonal",
  "spacegroup": "No. 173"
}

3.
{
  "formula": "Cs2LiSbF6",
  "functional": "PBE-GGA",
  "state": "relaxed",
  "lattice_angstrom": [[0.3609, -4.1509, 4.8194], [-4.9527, -3.7820, 1.3242], [0.3534, -6.2474, -1.1965]],
  "species": ["Li", "Cs", "F", "Sb", "Cs", "F", "F", "F", "F", "F"],
  "fractional_positions": [[0.5000, 0.5000, 0.5000], [0.7500, 0.7500, 0.7500], [0.2483, 0.7517, 0.2483], [0.0000, 0.0000, 0.0000], [0.2500, 0.2500, 0.2500], [0.7517, 0.2483, 0.7517], [0.7517, 0.7517, 0.2483], [0.2483, 0.2483, 0.7517], [0.2483, 0.7517, 0.7517], [0.7517, 0.2483, 0.2483]],
  "formation_energy_ev_per_fu": -28.8,
  "magnetic_moment_mub_per_cell": 0.00,
  "crystal_system": "cubic",
  "spacegroup": "No. 225"
}

4.
{
  "formula": "NaCeSe2O10",
  "functional": "PBE-GGA",
  "state": "relaxed",
  "lattice_angstrom": [[-4.8741, -5.0864, -0.9746], [6.2893, -7.0533, 5.3571], [-2.3373, 0.1130, 11.0994]],
  "species": ["O", "O", "Se", "Na", "Na", "O", "O", "O", "O", "O", "O", "O", "Se", "O", "O", "O", "O", "Na", "O", "O", "O", "O", "O", "Se", "O", "O", "Ce", "O", "O", "O", "O", "O", "O", "O", "O", "O", "Se", "Ce", "O", "Se", "O", "Na", "Se", "O", "O", "O", "Se", "Ce", "O", "Ce", "O", "O", "Se", "O", "O", "O"],
  "fractional_positions": [[0.8816, 0.7343, 0.9674], [0.4509, 0.1744, 0.1958], [0.8546, 0.7456, 0.1114], [0.1389, 0.5396, 0.6495], [0.8611, 0.4604, 0.3505], [0.6769, 0.0385, 0.5660], [0.1854, 0.8631, 0.8127], [0.1924, 0.7251, 0.4129], [0.0491, 0.6744, 0.1958], [0.3146, 0.3631, 0.8127], [0.8168, 0.8950, 0.1068], [0.5927, 0.7193, 0.3875], [0.1454, 0.2544, 0.8886], [0.6854, 0.6369, 0.1873], [0.5260, 0.4497, 0.3755], [0.3720, 0.9082, 0.1957], [0.8146, 0.1369, 0.1873], [0.3611, 0.0396, 0.6495], [0.2157, 0.9725, 0.1684], [0.4073, 0.2807, 0.6125], [0.8076, 0.2749, 0.5871], [0.3168, 0.6050, 0.8932], [0.5491, 0.8256, 0.8042], [0.6454, 0.2456, 0.1114], [0.6832, 0.3950, 0.1068], [0.3076, 0.2251, 0.4129], [0.1365, 0.1618, 0.2465], [0.8720, 0.5918, 0.8043], [0.3816, 0.7657, 0.0326], [0.1280, 0.4082, 0.1957], [0.0260, 0.0503, 0.6245], [0.7157, 0.5275, 0.8316], [0.7843, 0.0275, 0.8316], [0.9073, 0.2193, 0.3875], [0.1184, 0.2657, 0.0326], [0.3231, 0.9615, 0.4340], [0.3523, 0.3518, 0.4593], [0.8635, 0.8382, 0.7535], [0.8231, 0.5385, 0.5660], [0.8523, 0.1482, 0.5407], [0.1832, 0.1050, 0.8932], [0.6389, 0.9604, 0.3505], [0.6477, 0.6482, 0.5407], [0.2843, 0.4725, 0.1684], [0.9740, 0.9497, 0.3755], [0.1769, 0.4615, 0.4340], [0.3546, 0.7544, 0.8886], [0.6365, 0.3382, 0.7535], [0.6924, 0.7749, 0.5871], [0.3635, 0.6618, 0.2465], [0.9509, 0.3256, 0.8042], [0.0927, 0.7807, 0.6125], [0.1477, 0.8518, 0.4593], [0.6184, 0.2343, 0.9674], [0.6280, 0.0918, 0.8043], [0.4740, 0.5503, 0.6245]],
  "formation_energy_ev_per_fu": -19.2,
  "magnetic_moment_mub_per_cell": 4.00,
  "crystal_system": "monoclinic",
  "spacegroup": "No. 14"
}

5.
{
  "formula": "KNaMg6O7",
  "functional": "PBE-GGA",
  "state": "relaxed",
  "lattice_angstrom": [[-3.2327, 2.3446, -1.4666], [-0.6806, -2.8612, -3.0739], [-6.8663, -5.3823, 6.5300]],
  "species": ["O", "Mg", "O", "O", "Mg", "Mg", "O", "O", "Mg", "Na", "K", "Mg", "Mg", "O", "O"],
  "fractional_positions": [[0.0000, 0.0000, 0.6985], [0.5000, 0.0000, 0.6878], [0.0000, 0.5000, 0.4957], [0.5000, 0.5000, 0.6994], [0.0000, 0.5000, 0.6878], [0.5000, 0.5000, 0.5031], [0.5000, 0.0000, 0.4957], [0.0000, 0.0000, 0.3018], [0.0000, 0.0000, 0.4858], [0.5000, 0.5000, 0.0348], [0.0000, 0.0000, 0.9647], [0.0000, 0.5000, 0.2603], [0.5000, 0.0000, 0.2603], [0.5000, 0.0000, 0.0871], [0.0000, 0.5000, 0.0871]],
  "formation_energy_ev_per_fu": -34.2,
  "magnetic_moment_mub_per_cell": 1.08,
  "crystal_system": "tetragonal",
  "spacegroup": "No. 99",
  "e_above_lowest_polymorph_mev_per_atom": 21
}

6.
{
  "formula": "Er3Mg",
  "functional": "PBE-GGA",
  "state": "relaxed",
  "lattice_angstrom": [[-6.6495, 2.0777, 0.1165], [2.1691, -4.9848, 4.3581], [1.2568, 3.8129, 3.7356]],
  "species": ["Mg", "Er", "Er", "Mg", "Er", "Er", "Er", "Er"],
  "fractional_positions": [[0.6667, 0.3333, 0.2500], [0.3385, 0.1693, 0.7500], [0.8307, 0.6615, 0.7500], [0.3333, 0.6667, 0.7500], [0.1693, 0.3385, 0.2500], [0.8307, 0.1693, 0.7500], [0.1693, 0.8307, 0.2500], [0.6615, 0.8307, 0.2500]],
  "formation_energy_ev_per_fu": 0.0,
  "crystal_system": "hexagonal",
  "spacegroup": "No. 194"
}

Copy entry 4 word for word.
{
  "formula": "NaCeSe2O10",
  "functional": "PBE-GGA",
  "state": "relaxed",
  "lattice_angstrom": [[-4.8741, -5.0864, -0.9746], [6.2893, -7.0533, 5.3571], [-2.3373, 0.1130, 11.0994]],
  "species": ["O", "O", "Se", "Na", "Na", "O", "O", "O", "O", "O", "O", "O", "Se", "O", "O", "O", "O", "Na", "O", "O", "O", "O", "O", "Se", "O", "O", "Ce", "O", "O", "O", "O", "O", "O", "O", "O", "O", "Se", "Ce", "O", "Se", "O", "Na", "Se", "O", "O", "O", "Se", "Ce", "O", "Ce", "O", "O", "Se", "O", "O", "O"],
  "fractional_positions": [[0.8816, 0.7343, 0.9674], [0.4509, 0.1744, 0.1958], [0.8546, 0.7456, 0.1114], [0.1389, 0.5396, 0.6495], [0.8611, 0.4604, 0.3505], [0.6769, 0.0385, 0.5660], [0.1854, 0.8631, 0.8127], [0.1924, 0.7251, 0.4129], [0.0491, 0.6744, 0.1958], [0.3146, 0.3631, 0.8127], [0.8168, 0.8950, 0.1068], [0.5927, 0.7193, 0.3875], [0.1454, 0.2544, 0.8886], [0.6854, 0.6369, 0.1873], [0.5260, 0.4497, 0.3755], [0.3720, 0.9082, 0.1957], [0.8146, 0.1369, 0.1873], [0.3611, 0.0396, 0.6495], [0.2157, 0.9725, 0.1684], [0.4073, 0.2807, 0.6125], [0.8076, 0.2749, 0.5871], [0.3168, 0.6050, 0.8932], [0.5491, 0.8256, 0.8042], [0.6454, 0.2456, 0.1114], [0.6832, 0.3950, 0.1068], [0.3076, 0.2251, 0.4129], [0.1365, 0.1618, 0.2465], [0.8720, 0.5918, 0.8043], [0.3816, 0.7657, 0.0326], [0.1280, 0.4082, 0.1957], [0.0260, 0.0503, 0.6245], [0.7157, 0.5275, 0.8316], [0.7843, 0.0275, 0.8316], [0.9073, 0.2193, 0.3875], [0.1184, 0.2657, 0.0326], [0.3231, 0.9615, 0.4340], [0.3523, 0.3518, 0.4593], [0.8635, 0.8382, 0.7535], [0.8231, 0.5385, 0.5660], [0.8523, 0.1482, 0.5407], [0.1832, 0.1050, 0.8932], [0.6389, 0.9604, 0.3505], [0.6477, 0.6482, 0.5407], [0.2843, 0.4725, 0.1684], [0.9740, 0.9497, 0.3755], [0.1769, 0.4615, 0.4340], [0.3546, 0.7544, 0.8886], [0.6365, 0.3382, 0.7535], [0.6924, 0.7749, 0.5871], [0.3635, 0.6618, 0.2465], [0.9509, 0.3256, 0.8042], [0.0927, 0.7807, 0.6125], [0.1477, 0.8518, 0.4593], [0.6184, 0.2343, 0.9674], [0.6280, 0.0918, 0.8043], [0.4740, 0.5503, 0.6245]],
  "formation_energy_ev_per_fu": -19.2,
  "magnetic_moment_mub_per_cell": 4.00,
  "crystal_system": "monoclinic",
  "spacegroup": "No. 14"
}